# Ti3N2

A relaxed Ti3N2 crystal (PBE, Materials Project).

Cell lengths 3.009, 3.009, 14.792 Å; angles 90.00, 90.00, 120.00 degrees
Fractional positions:
1 Ti 0.000 0.000 0.000
2 Ti 0.000 0.000 0.500
3 Ti 0.333 0.667 0.159
4 Ti 0.333 0.667 0.341
5 Ti 0.667 0.333 0.659
6 Ti 0.667 0.333 0.841
7 N 0.333 0.667 0.586
8 N 0.333 0.667 0.914
9 N 0.667 0.333 0.086
10 N 0.667 0.333 0.414

Summary:
Energy relative to the elements = -1485 meV per atom
Space group = P6_3/mmc
Crystal system = hexagonal
ρ = 4.91 g cm⁻³

***

# LiGaPO5

A relaxed LiGaPO5 crystal (PBE, Materials Project).

Cell lengths 4.546, 6.197, 6.997 Å; angles 77.73, 87.27, 88.92 degrees
Fractional positions:
1 Li 0.021 0.158 0.313
2 Li 0.979 0.842 0.687
3 Ga 0.500 0.000 0.000
4 Ga 0.500 0.500 0.500
5 P 0.061 0.332 0.742
6 P 0.939 0.668 0.258
7 O 0.133 0.200 0.946
8 O 0.203 0.218 0.578
9 O 0.205 0.566 0.691
10 O 0.277 0.644 0.268
11 O 0.463 0.087 0.232
12 O 0.537 0.913 0.768
13 O 0.723 0.356 0.732
14 O 0.795 0.434 0.309
15 O 0.797 0.782 0.422
16 O 0.867 0.800 0.054

Summary:
Energy relative to the elements = -2152 meV per atom
Space group = P-1
Crystal system = triclinic
Energy above the most stable polymorph in this dataset = 163 meV/atom
ρ = 3.24 g cm⁻³

***

# Tb2CuAg

A relaxed Tb2CuAg crystal (PBE, Materials Project).

Cell lengths 3.537, 3.537, 7.268 Å; angles 90.00, 90.00, 90.00 degrees
Fractional positions:
1 Tb 0.000 0.000 0.235
2 Tb 0.000 0.000 0.765
3 Cu 0.500 0.500 0.000
4 Ag 0.500 0.500 0.500

Summary:
Energy relative to the elements = -276 meV per atom
Space group = P4/mmm
Crystal system = tetragonal
ρ = 8.93 g cm⁻³

***

# MgZn2Co4S8

A relaxed MgZn2Co4S8 crystal (PBE, Materials Project).

Cell lengths 6.974, 6.974, 7.206 Å; angles 121.08, 121.08, 58.67 degrees
Fractional positions:
1 Mg 0.000 0.000 0.000
2 Zn 0.196 0.196 0.505
3 Zn 0.196 0.196 0.887
4 Co 0.153 0.647 0.400
5 Co 0.647 0.153 0.400
6 Co 0.650 0.650 0.395
7 Co 0.650 0.650 0.907
8 S 0.409 0.853 0.632
9 S 0.418 0.418 0.212
10 S 0.418 0.418 0.624
11 S 0.443 0.886 0.165
12 S 0.853 0.409 0.632
13 S 0.882 0.882 0.176
14 S 0.882 0.882 0.589
15 S 0.886 0.443 0.165

Summary:
Energy relative to the elements = -674 meV per atom
Space group = Cm
Crystal system = monoclinic
Energy above the most stable polymorph in this dataset = 32 meV/atom
ρ = 4.46 g cm⁻³

***

# Mg6AlBO8

A relaxed Mg6AlBO8 crystal (PBE, Materials Project).

Cell lengths 4.209, 4.209, 8.666 Å; angles 90.00, 90.00, 90.00 degrees
Fractional positions:
1 Mg 0.000 0.000 0.000
2 Mg 0.000 0.500 0.257
3 Mg 0.000 0.500 0.743
4 Mg 0.500 0.000 0.257
5 Mg 0.500 0.000 0.743
6 Mg 0.500 0.500 0.000
7 Al 0.000 0.000 0.500
8 B 0.500 0.500 0.500
9 O 0.000 0.000 0.278
10 O 0.000 0.000 0.722
11 O 0.000 0.500 0.000
12 O 0.000 0.500 0.500
13 O 0.500 0.000 0.000
14 O 0.500 0.000 0.500
15 O 0.500 0.500 0.233
16 O 0.500 0.500 0.767

Summary:
Energy relative to the elements = -2517 meV per atom
Space group = P4/mmm
Crystal system = tetragonal
Energy above the most stable polymorph in this dataset = 47 meV/atom
ρ = 3.37 g cm⁻³

***

# NaCu3

A relaxed NaCu3 crystal (PBE, Materials Project).

Cell lengths 4.741, 4.741, 4.741 Å; angles 132.75, 132.75, 69.05 degrees
Fractional positions:
1 Na 0.000 0.000 0.000
2 Cu 0.250 0.750 0.500
3 Cu 0.500 0.500 0.000
4 Cu 0.750 0.250 0.500

Summary:
Energy relative to the elements = 316 meV per atom
Space group = I4/mmm
Crystal system = tetragonal
ρ = 6.29 g cm⁻³